Density functional theory data (PBE-GGA) for Mg7Cr after structural relaxation.

Results
The value obtained for the energy relative to the elements is 137 meV/atom. The uncorrected energy comes out at -19.76 eV/cell.

Cell: 6.2919 6.2919 5.0707 Å, 90.00 90.00 120.00°
Element x y z (fractional)
Mg 0.0000 0.0000 0.0000
Mg 0.0066 0.5033 0.0000
Mg 0.3343 0.1671 0.5000
Mg 0.4967 0.5033 0.0000
Mg 0.4967 0.9934 0.0000
Mg 0.8329 0.1671 0.5000
Mg 0.8329 0.6657 0.5000
Cr 0.3333 0.6667 0.5000